First-principles (GGA-PBE) data for a geometry-optimized Sm3Ge5 structure, as listed in Materials Project.

Polymorph energy (0 for the lowest one) in eV per atom: 0.003
Calculated formation energy in meV per atom: -740
E_tot in eV/cell: -345.5

a = 5.897 Å, b = 17.683 Å, c = 14.045 Å
α = 90.00°, β = 90.00°, γ = 90.00°
Space group Fdd2 (No. 43)
One atom of each set of equivalent atoms:
Sm  0.000  0.000  0.000 (multiplicity 8)
Sm  0.008  0.331  0.993 (multiplicity 16)
Ge  0.000  0.000  0.552 (multiplicity 8)
Ge  0.009  0.163  0.913 (multiplicity 16)
Ge  0.046  0.319  0.593 (multiplicity 16)

First-principles (GGA-PBE) data for a geometry-optimized SmGe5 structure, as listed in Materials Project.

Calculated formation energy in meV per atom: -245
E_tot in eV/cell: -58.6

a = 4.022 Å, b = 6.197 Å, c = 9.941 Å
α = 90.00°, β = 90.00°, γ = 90.00°
Space group Immm (No. 71)
One atom of each set of equivalent atoms:
Sm  0.000  0.000  0.000 (multiplicity 2)
Ge  0.000  0.208  0.330 (multiplicity 8)
Ge  0.000  0.500  0.000 (multiplicity 2)

First-principles (GGA-PBE) data for a geometry-optimized SmTiGe structure, as listed in Materials Project.

Polymorph energy (0 for the lowest one) in eV per atom: 0.034
Calculated formation energy in meV per atom: -620
E_tot in eV/cell: -76.4

a = 4.104 Å, b = 4.104 Å, c = 15.826 Å
α = 90.00°, β = 90.00°, γ = 90.00°
Space group I4/mmm (No. 139)
One atom of each set of equivalent atoms:
Sm  0.000  0.000  0.174 (multiplicity 4)
Ti  0.000  0.500  0.000 (multiplicity 4)
Ge  0.000  0.000  0.381 (multiplicity 4)

First-principles (GGA-PBE) data for a geometry-optimized SmTiGe structure, as listed in Materials Project.

Polymorph energy (0 for the lowest one) in eV per atom: 0.000
Calculated formation energy in meV per atom: -654
E_tot in eV/cell: -38.4

a = 4.108 Å, b = 4.108 Å, c = 7.866 Å
α = 90.00°, β = 90.00°, γ = 90.00°
Space group P4/nmm (No. 129, origin choice 2)
One atom of each set of equivalent atoms:
Sm  0.250  0.250  0.155 (multiplicity 2)
Ti  0.250  0.750  0.500 (multiplicity 2)
Ge  0.250  0.250  0.733 (multiplicity 2)

First-principles (GGA-PBE) data for a geometry-optimized Sm2TiGe2 structure, as listed in Materials Project.

Calculated formation energy in meV per atom: 576
E_tot in eV/cell: -23.7

a = 3.009 Å, b = 3.009 Å, c = 14.511 Å
α = 90.00°, β = 90.00°, γ = 90.00°
Space group P4/mmm (No. 123)
One atom of each set of equivalent atoms:
Sm  0.000  0.000  0.124 (multiplicity 2)
Ti  0.000  0.000  0.500 (multiplicity 1)
Ge  0.000  0.000  0.327 (multiplicity 2)

First-principles (GGA-PBE) data for a geometry-optimized Sm2Zn6Ge3 structure, as listed in Materials Project.

Calculated formation energy in meV per atom: -409
E_tot in eV/cell: -35.4

a = 7.6494 Å, b = 7.6494 Å, c = 4.0760 Å
α = 90.00°, β = 90.00°, γ = 120.00°
Space group P-62m (No. 189)
One atom of each set of equivalent atoms:
Sm  0.3333  0.6667  0.0000 (multiplicity 2)
Zn  0.0000  0.2861  0.5000 (multiplicity 3)
Zn  0.0000  0.8095  0.0000 (multiplicity 3)
Ge  0.0000  0.6142  0.5000 (multiplicity 3)

First-principles (GGA-PBE) data for a geometry-optimized SnGe structure, as listed in Materials Project.

Calculated formation energy in meV per atom: 492
E_tot in eV/cell: -7.6

a = 4.3636 Å, b = 4.3636 Å, c = 12.5862 Å
α = 90.00°, β = 90.00°, γ = 120.00°
Space group P3m1 (No. 156)
One atom of each set of equivalent atoms:
Sn  0.0000  0.0000  0.0000 (multiplicity 1)
Ge  0.3333  0.6667  0.0612 (multiplicity 1)

First-principles (GGA-PBE) data for a geometry-optimized SnGe3 structure, as listed in Materials Project.

Polymorph energy (0 for the lowest one) in eV per atom: 0.008
Calculated formation energy in meV per atom: 300
E_tot in eV/cell: -16.7

a = 4.433 Å, b = 4.433 Å, c = 4.433 Å
α = 90.00°, β = 90.00°, γ = 90.00°
Space group Pm-3m (No. 221)
One atom of each set of equivalent atoms:
Sn  0.000  0.000  0.000 (multiplicity 1)
Ge  0.000  0.500  0.500 (multiplicity 3)

First-principles (GGA-PBE) data for a geometry-optimized SnGe3 structure, as listed in Materials Project.

Polymorph energy (0 for the lowest one) in eV per atom: 0.000
Calculated formation energy in meV per atom: 292
E_tot in eV/cell: -33.4

a = 4.364 Å, b = 4.364 Å, c = 8.899 Å
α = 90.00°, β = 90.00°, γ = 90.00°
Space group I4/mmm (No. 139)
One atom of each set of equivalent atoms:
Sn  0.000  0.000  0.000 (multiplicity 2)
Ge  0.000  0.000  0.500 (multiplicity 2)
Ge  0.000  0.500  0.250 (multiplicity 4)

First-principles (GGA-PBE) data for a geometry-optimized Sn2GeTe3 structure, as listed in Materials Project.

Polymorph energy (0 for the lowest one) in eV per atom: 0.000
Calculated formation energy in meV per atom: -412
E_tot in eV/cell: -23.3

a = 4.4263 Å, b = 4.4263 Å, c = 10.9835 Å
α = 90.00°, β = 90.00°, γ = 120.00°
Space group P-3m1 (No. 164)
One atom of each set of equivalent atoms:
Sn  0.3333  0.6667  0.3271 (multiplicity 2)
Ge  0.0000  0.0000  0.0000 (multiplicity 1)
Te  0.0000  0.0000  0.5000 (multiplicity 1)
Te  0.3333  0.6667  0.8481 (multiplicity 2)

First-principles (GGA-PBE) data for a geometry-optimized Sn2GeTe3 structure, as listed in Materials Project.

Polymorph energy (0 for the lowest one) in eV per atom: 0.023
Calculated formation energy in meV per atom: -389
E_tot in eV/cell: -92.6

a = 12.289 Å, b = 4.385 Å, c = 14.334 Å
α = 90.00°, β = 90.26°, γ = 90.00°
Space group Pm (No. 6)
One atom of each set of equivalent atoms:
Sn  0.000  0.000  0.000 (multiplicity 1)
Sn  0.000  0.000  0.334 (multiplicity 1)
Sn  0.001  0.000  0.668 (multiplicity 1)
Sn  0.234  0.500  0.065 (multiplicity 1)
Sn  0.234  0.500  0.400 (multiplicity 1)
Sn  0.501  0.000  0.567 (multiplicity 1)
Sn  0.503  0.000  0.233 (multiplicity 1)
Sn  0.503  0.000  0.898 (multiplicity 1)
Ge  0.246  0.500  0.736 (multiplicity 1)
Ge  0.744  0.500  0.161 (multiplicity 1)
Ge  0.744  0.500  0.494 (multiplicity 1)
Ge  0.744  0.500  0.828 (multiplicity 1)
Te  0.256  0.000  0.542 (multiplicity 1)
Te  0.257  0.000  0.205 (multiplicity 1)
Te  0.257  0.000  0.863 (multiplicity 1)
Te  0.470  0.500  0.708 (multiplicity 1)
Te  0.475  0.500  0.039 (multiplicity 1)
Te  0.476  0.500  0.373 (multiplicity 1)
Te  0.756  0.000  0.702 (multiplicity 1)
Te  0.757  0.000  0.036 (multiplicity 1)
Te  0.757  0.000  0.369 (multiplicity 1)
Te  0.967  0.500  0.194 (multiplicity 1)
Te  0.967  0.500  0.528 (multiplicity 1)
Te  0.967  0.500  0.860 (multiplicity 1)

First-principles (GGA-PBE) data for a geometry-optimized TmSnGe structure, as listed in Materials Project.

Calculated formation energy in meV per atom: -584
E_tot in eV/cell: -59.4

a = 4.253 Å, b = 16.095 Å, c = 4.060 Å
α = 90.00°, β = 90.00°, γ = 90.00°
Space group Cmcm (No. 63)
One atom of each set of equivalent atoms:
Tm  0.000  0.094  0.250 (multiplicity 4)
Sn  0.000  0.254  0.750 (multiplicity 4)
Ge  0.000  0.445  0.250 (multiplicity 4)

First-principles (GGA-PBE) data for a geometry-optimized YSnGe structure, as listed in Materials Project.

Calculated formation energy in meV per atom: -642
E_tot in eV/cell: -68.1

a = 4.264 Å, b = 16.422 Å, c = 4.104 Å
α = 90.00°, β = 90.00°, γ = 90.00°
Space group Cmcm (No. 63)
One atom of each set of equivalent atoms:
Y  0.000  0.094  0.250 (multiplicity 4)
Sn  0.000  0.255  0.750 (multiplicity 4)
Ge  0.000  0.447  0.250 (multiplicity 4)

First-principles (GGA-PBE) data for a geometry-optimized Sr2Ge structure, as listed in Materials Project.

Calculated formation energy in meV per atom: -532
E_tot in eV/cell: -38.4

a = 8.189 Å, b = 5.196 Å, c = 9.678 Å
α = 90.00°, β = 90.00°, γ = 90.00°
Space group Pnma (No. 62)
One atom of each set of equivalent atoms:
Sr  0.018  0.250  0.174 (multiplicity 4)
Sr  0.151  0.250  0.578 (multiplicity 4)
Ge  0.248  0.750  0.398 (multiplicity 4)

First-principles (GGA-PBE) data for a geometry-optimized SrGe2 structure, as listed in Materials Project.

Calculated formation energy in meV per atom: -495
E_tot in eV/cell: -12.4

a = 4.1699 Å, b = 4.1699 Å, c = 5.1991 Å
α = 90.00°, β = 90.00°, γ = 120.00°
Space group P-3m1 (No. 164)
One atom of each set of equivalent atoms:
Sr  0.0000  0.0000  0.0000 (multiplicity 1)
Ge  0.3333  0.6667  0.5972 (multiplicity 2)

First-principles (GGA-PBE) data for a geometry-optimized SrGe structure, as listed in Materials Project.

Calculated formation energy in meV per atom: -621
E_tot in eV/cell: -30.2

a = 4.854 Å, b = 11.478 Å, c = 4.222 Å
α = 90.00°, β = 90.00°, γ = 90.00°
Space group Cmcm (No. 63)
One atom of each set of equivalent atoms:
Sr  0.000  0.137  0.250 (multiplicity 4)
Ge  0.000  0.429  0.250 (multiplicity 4)

First-principles (GGA-PBE) data for a geometry-optimized SrGe2 structure, as listed in Materials Project.

Calculated formation energy in meV per atom: -482
E_tot in eV/cell: -99.1

a = 8.811 Å, b = 6.599 Å, c = 11.269 Å
α = 90.00°, β = 90.00°, γ = 90.00°
Space group Pnma (No. 62)
One atom of each set of equivalent atoms:
Sr  0.015  0.250  0.193 (multiplicity 4)
Sr  0.156  0.750  0.406 (multiplicity 4)
Ge  0.066  0.750  0.092 (multiplicity 4)
Ge  0.190  0.055  0.651 (multiplicity 8)
Ge  0.193  0.250  0.453 (multiplicity 4)

First-principles (GGA-PBE) data for a geometry-optimized Sr7Ge6 structure, as listed in Materials Project.

Calculated formation energy in meV per atom: -586
E_tot in eV/cell: -188.7

a = 7.839 Å, b = 23.752 Å, c = 8.612 Å
α = 90.00°, β = 90.00°, γ = 90.00°
Space group Pnma (No. 62)
One atom of each set of equivalent atoms:
Sr  0.029  0.162  0.180 (multiplicity 8)
Sr  0.135  0.640  0.317 (multiplicity 8)
Sr  0.162  0.518  0.678 (multiplicity 8)
Sr  0.199  0.250  0.528 (multiplicity 4)
Ge  0.004  0.552  0.038 (multiplicity 8)
Ge  0.094  0.250  0.882 (multiplicity 4)
Ge  0.177  0.750  0.592 (multiplicity 4)
Ge  0.198  0.097  0.472 (multiplicity 8)

First-principles (GGA-PBE) data for a geometry-optimized Sr5Ge3 structure, as listed in Materials Project.

Calculated formation energy in meV per atom: -553
E_tot in eV/cell: -106.9

a = 8.175 Å, b = 8.175 Å, c = 15.962 Å
α = 90.00°, β = 90.00°, γ = 90.00°
Space group I4/mcm (No. 140)
One atom of each set of equivalent atoms:
Sr  0.000  0.000  0.000 (multiplicity 4)
Sr  0.178  0.322  0.141 (multiplicity 16)
Ge  0.000  0.000  0.250 (multiplicity 4)
Ge  0.114  0.386  0.500 (multiplicity 8)

First-principles (GGA-PBE) data for a geometry-optimized SrZn2Ge2 structure, as listed in Materials Project.

Calculated formation energy in meV per atom: -371
E_tot in eV/cell: -30.6

a = 4.457 Å, b = 4.457 Å, c = 10.610 Å
α = 90.00°, β = 90.00°, γ = 90.00°
Space group I4/mmm (No. 139)
One atom of each set of equivalent atoms:
Sr  0.000  0.000  0.000 (multiplicity 2)
Zn  0.000  0.500  0.250 (multiplicity 4)
Ge  0.000  0.000  0.379 (multiplicity 4)